# YbGa6Fe6 | the Materials Project database | r²SCAN | relaxed
data_YbGa6Fe6
_chemical_formula_sum 'Yb2 Ga12 Fe12'
_cell_length_a 4.995
_cell_length_b 8.496
_cell_length_c 8.585
_cell_angle_alpha 90.00
_cell_angle_beta 90.00
_cell_angle_gamma 90.00
_space_group_name_H-M_alt 'I m m m'
_space_group_IT_number 71
_space_group_name_Hall '-I 2 2'
loop_
_atom_site_label
_atom_site_fract_x
_atom_site_fract_y
_atom_site_fract_z
_atom_site_occupancy
Yb1 0.000 0.000 0.000 1
Ga1 0.000 0.000 0.344 1
Ga2 0.000 0.333 0.000 1
Ga3 0.000 0.500 0.316 1
Fe1 0.000 0.258 0.500 1
Fe2 0.250 0.250 0.250 1
# Formation enthalpy at 0 K, eV per atom: -0.28
# Calculated volume, Å³ per cell: 364.3
# Total magnetization, μB/f.u.: 13.0



# Zr6Ga2Fe | the Materials Project database | r²SCAN | relaxed
data_Zr6Ga2Fe
_chemical_formula_sum 'Zr6 Ga2 Fe1'
_cell_length_a 7.8466
_cell_length_b 7.8466
_cell_length_c 3.3540
_cell_angle_alpha 90.00
_cell_angle_beta 90.00
_cell_angle_gamma 120.00
_space_group_name_H-M_alt 'P -6 2 m'
_space_group_IT_number 189
_space_group_name_Hall 'P -6 -2'
loop_
_atom_site_label
_atom_site_fract_x
_atom_site_fract_y
_atom_site_fract_z
_atom_site_occupancy
Zr1 0.0000 0.2494 0.0000 1
Zr2 0.0000 0.5975 0.5000 1
Ga1 0.3333 0.6667 0.0000 1
Fe1 0.0000 0.0000 0.5000 1
# Formation enthalpy at 0 K, eV per atom: -0.36
# Calculated volume, Å³ per cell: 178.8
# Total magnetization, μB/f.u.: 0.4



> Among the records above, which one has the highest calculated volume?

YbGa6Fe6